(1)
First-principles (PBE with a Hubbard U) data for crystalline Al5Ni3O12 at its relaxed geometry, as listed in Materials Project.

Unit cell a=9.7563 b=5.7845 c=13.8657 alpha=90.00 beta=91.47 gamma=90.00
Closest atoms and distances in Å follow each position.
Space group C2/m (No. 12)
Symmetry-distinct sites (fractional):
Al 0.0061 0.0000 0.3753 (multiplicity 4)  4 O 1.78-1.81
Al 0.1607 0.5000 0.3389 (multiplicity 4)  6 O 1.85-2.03
Al 0.1618 0.0000 0.8412 (multiplicity 4)  6 O 1.85-2.03
Al 0.1663 0.5000 0.9528 (multiplicity 4)  4 O 1.78-1.81
Al 0.1748 0.5000 0.7089 (multiplicity 4)  4 O 1.79-1.86
Ni 0.0821 0.2492 0.1638 (multiplicity 8)  6 O 1.89-2.06
Ni 0.2500 0.2500 0.5000 (multiplicity 4)  6 O 1.92-2.06
O 0.0050 0.5000 0.2517 (multiplicity 4)  2 Al 1.85-1.92, 2 Ni 2.05
O 0.0087 0.0000 0.7548 (multiplicity 4)  2 Al 1.81-1.89
O 0.0858 0.2460 0.9069 (multiplicity 8)  2 Al 1.78-1.85, 1 Ni 1.89
O 0.0968 0.2539 0.4103 (multiplicity 8)  2 Al 1.78-1.85, 1 Ni 1.92
O 0.1637 0.0000 0.0926 (multiplicity 4)  1 Al 1.79, 2 Ni 1.93
O 0.1705 0.0000 0.5889 (multiplicity 4)  2 Al 1.80-1.90
O 0.1747 0.5000 0.0831 (multiplicity 4)  2 Al 1.81-1.89
O 0.1781 0.5000 0.5795 (multiplicity 4)  1 Al 1.79, 2 Ni 1.96
O 0.2450 0.2720 0.2465 (multiplicity 8)  3 Al 1.86-2.03, 1 Ni 1.94

Computed properties:
theoretical density	4.27	g cm⁻³
E_tot	-511.8	eV/cell
offset from the most stable computed form	0	meV per atom

(2)
First-principles (PBE with a Hubbard U) data for crystalline Li3Mn2CoO6 at its relaxed geometry, as listed in Materials Project.

Unit cell a=9.8152 b=2.8557 c=9.1718 alpha=90.00 beta=117.27 gamma=90.00
Closest atoms and distances in Å follow each position.
Space group C2/m (No. 12)
Symmetry-distinct sites (fractional):
Li 0.0000 0.0000 0.0000 (multiplicity 2)  4 O 2.10
Li 0.1663 0.5000 0.3444 (multiplicity 4)  6 O 2.13-2.36
Mn 0.1694 0.5000 0.8272 (multiplicity 4)  4 O 1.96
Co 0.0000 0.0000 0.5000 (multiplicity 2)  4 O 1.94
O 0.0158 0.0000 0.7493 (multiplicity 4)  2 Mn 1.96, 2 Li 2.14
O 0.1499 0.5000 0.5684 (multiplicity 4)  2 Co 1.94, 3 Li 2.13-2.15
O 0.1770 0.5000 0.0929 (multiplicity 4)  2 Mn 1.96, 2 Li 2.10

Computed properties:
theoretical density	4.15	g cm⁻³
E_tot	-151.1	eV/cell
offset from the most stable computed form	22	meV per atom

(3)
First-principles (PBE with a Hubbard U) data for crystalline KLiMnO2 at its relaxed geometry, as listed in Materials Project.

Unit cell a=8.9878 b=9.1664 c=6.9353 alpha=90.00 beta=90.00 gamma=90.00
Closest atoms and distances in Å follow each position.
Space group Cccm (No. 66)
Symmetry-distinct sites (fractional):
K 0.0000 0.0000 0.2500 (multiplicity 4)  6 O 2.78-2.90
K 0.2500 0.2500 0.0000 (multiplicity 4)  6 O 2.86-2.95, 4 Li 3.01
Li 0.0000 0.3598 0.2500 (multiplicity 8)  4 O 2.05-2.20
Mn 0.2255 0.3922 0.5000 (multiplicity 8)  4 O 2.04-2.16
O 0.0675 0.2271 0.5000 (multiplicity 8)  2 Mn 2.08-2.16, 2 Li 2.20
O 0.1777 0.5000 0.2500 (multiplicity 8)  2 Mn 2.04, 2 Li 2.05

Computed properties:
theoretical density	3.09	g cm⁻³
E_tot	-225.4	eV/cell

(4)
First-principles (PBE with a Hubbard U) data for crystalline Na8MgCo2O8 at its relaxed geometry, as listed in Materials Project.

Unit cell a=5.7860 b=5.8705 c=8.8564 alpha=72.19 beta=80.06 gamma=68.94
Closest atoms and distances in Å follow each position.
Space group P1 (No. 1)
Symmetry-distinct sites (fractional):
Na 0.0000 0.0000 0.0000 (multiplicity 1)  4 O 2.37-2.46
Na 0.0041 0.2273 0.5845 (multiplicity 1)  4 O 2.30-2.55
Na 0.0321 0.3804 0.1828 (multiplicity 1)  4 O 2.33-2.50
Na 0.0435 0.5135 0.7927 (multiplicity 1)  3 O 2.22-2.37
Na 0.4863 0.5886 0.4920 (multiplicity 1)  4 O 2.26-2.50
Na 0.5164 0.8885 0.1668 (multiplicity 1)  5 O 2.30-2.55
Na 0.5488 0.4608 0.0362 (multiplicity 1)  5 O 2.35-2.60
Na 0.6067 0.7703 0.7007 (multiplicity 1)  4 O 2.26-2.36
Mg 0.4595 0.2007 0.3869 (multiplicity 1)  4 O 2.02-2.09
Co 0.0256 0.8387 0.3514 (multiplicity 1)  4 O 1.79-1.98
Co 0.5494 0.1457 0.8307 (multiplicity 1)  4 O 1.82-1.98
O 0.2313 0.0047 0.3958 (multiplicity 1)  1 Co 1.94, 1 Mg 2.02
O 0.2863 0.2225 0.9779 (multiplicity 1)  1 Co 1.84
O 0.2918 0.5781 0.2644 (multiplicity 1)  1 Co 1.98, 1 Mg 2.09
O 0.4434 0.2008 0.6178 (multiplicity 1)  1 Co 1.98, 1 Mg 2.03
O 0.7452 0.7970 0.9282 (multiplicity 1)  1 Co 1.95
O 0.7533 0.3313 0.8036 (multiplicity 1)  1 Co 1.82
O 0.7662 0.1187 0.2363 (multiplicity 1)  1 Co 1.93, 1 Mg 2.03
O 0.8463 0.6602 0.4880 (multiplicity 1)  1 Co 1.79

Computed properties:
theoretical density	2.83	g cm⁻³
E_tot	-88.0	eV/cell
offset from the most stable computed form	21	meV per atom

(5)
First-principles (PBE with a Hubbard U) data for crystalline V3O5F at its relaxed geometry, as listed in Materials Project.

Unit cell a=3.0432 b=4.6249 c=13.8193 alpha=90.00 beta=90.00 gamma=90.00
Closest atoms and distances in Å follow each position.
Space group Pmn2_1 (No. 31)
Symmetry-distinct sites (fractional):
V 0.0000 0.2101 0.0000 (multiplicity 2)  3 O 1.77-1.96
V 0.0000 0.2180 0.3150 (multiplicity 2)  4 O 1.85-1.92
V 0.0000 0.2817 0.6576 (multiplicity 2)  6 O 1.98-2.05
O 0.0000 0.5203 0.2268 (multiplicity 2)  3 V 1.85-2.02
O 0.0000 0.5690 0.5513 (multiplicity 2)  3 V 1.96-1.98
O 0.0000 0.9371 0.0897 (multiplicity 2)  1 V 1.77
O 0.0000 0.9517 0.4212 (multiplicity 2)  3 V 1.92-2.02
O 0.0000 0.9645 0.7570 (multiplicity 2)  3 V 1.92-2.01
F 0.0000 0.5594 0.8884 (multiplicity 2)  3 V 2.10-2.23

Computed properties:
theoretical density	4.30	g cm⁻³
E_tot	-136.7	eV/cell
offset from the most stable computed form	1	meV per atom

The evaluated DFT formation energy for the records listed, in turn: -2.42 -1.98 -1.83 -1.62 -2.60 eV per atom.